a:
## InAsH4O6 (PBE)

Data for a relaxed InAsH4O6 crystal.

CIF file:
```
data_InAsH4O6
_chemical_formula_sum 'In8 As8 H32 O48'
_symmetry_space_group_name_H-M 'P b c a'
_symmetry_Int_Tables_number 61
_symmetry_space_group_name_Hall '-P 2ac 2ab'
_cell_length_a 9.629
_cell_length_b 11.631
_cell_length_c 10.683
_cell_angle_alpha 90.00
_cell_angle_beta 90.00
_cell_angle_gamma 90.00
loop_
_atom_site_label
_atom_site_fract_x
_atom_site_fract_y
_atom_site_fract_z
_atom_site_occupancy
In1 0.210 0.074 0.115 1
As1 0.125 0.678 0.443 1
H1 0.057 0.684 0.115 1
H2 0.062 0.170 0.858 1
H3 0.119 0.032 0.758 1
H4 0.219 0.182 0.664 1
O1 0.047 0.192 0.766 1
O2 0.048 0.135 0.006 1
O3 0.119 0.674 0.042 1
O4 0.169 0.540 0.273 1
O5 0.182 0.241 0.730 1
O6 0.217 0.602 0.564 1
```

---

b:
## InAsH4O6 (PBE)

Data for a relaxed InAsH4O6 crystal.

CIF file:
```
data_InAsH4O6
_chemical_formula_sum 'In8 As8 H32 O48'
_symmetry_space_group_name_H-M 'P b c a'
_symmetry_Int_Tables_number 61
_symmetry_space_group_name_Hall '-P 2ac 2ab'
_cell_length_a 9.198
_cell_length_b 10.494
_cell_length_c 10.798
_cell_angle_alpha 90.00
_cell_angle_beta 90.00
_cell_angle_gamma 90.00
loop_
_atom_site_label
_atom_site_fract_x
_atom_site_fract_y
_atom_site_fract_z
_atom_site_occupancy
In1 0.147 0.185 0.126 1
As1 0.035 0.631 0.655 1
H1 0.133 0.592 0.965 1
H2 0.174 0.592 0.323 1
H3 0.182 0.176 0.368 1
H4 0.200 0.020 0.553 1
O1 0.008 0.529 0.359 1
O2 0.019 0.686 0.804 1
O3 0.083 0.219 0.937 1
O4 0.166 0.571 0.049 1
O5 0.212 0.649 0.604 1
O6 0.222 0.113 0.306 1
```

---

If we sort the structures by their calculated energies, the order from most to least stable is b, a.

---

a:
## Zn3As2H16O16 (PBE)

Data for a relaxed Zn3As2H16O16 crystal.

CIF file:
```
data_Zn3As2H16O16
_chemical_formula_sum 'Zn6 As4 H32 O32'
_symmetry_space_group_name_H-M 'C 1 2/m 1'
_symmetry_Int_Tables_number 12
_symmetry_space_group_name_Hall '-C 2y'
_cell_length_a 10.440
_cell_length_b 13.951
_cell_length_c 4.802
_cell_angle_alpha 90.00
_cell_angle_beta 105.49
_cell_angle_gamma 90.00
loop_
_atom_site_label
_atom_site_fract_x
_atom_site_fract_y
_atom_site_fract_z
_atom_site_occupancy
Zn1 0.000 0.000 0.000 1
Zn2 0.000 0.388 0.000 1
As1 0.187 0.500 0.623 1
H1 0.041 0.226 0.289 1
H2 0.117 0.080 0.634 1
H3 0.124 0.310 0.486 1
H4 0.185 0.124 0.943 1
O1 0.094 0.500 0.268 1
O2 0.096 0.113 0.803 1
O3 0.098 0.282 0.288 1
O4 0.147 0.000 0.384 1
O5 0.161 0.394 0.787 1
```

---

b:
## Zn3As2H16O16 (PBE)

Data for a relaxed Zn3As2H16O16 crystal.

CIF file:
```
data_Zn3As2H16O16
_chemical_formula_sum 'Zn6 As4 H32 O32'
_symmetry_space_group_name_H-M 'C 1 2/m 1'
_symmetry_Int_Tables_number 12
_symmetry_space_group_name_Hall '-C 2y'
_cell_length_a 11.406
_cell_length_b 13.266
_cell_length_c 4.963
_cell_angle_alpha 90.00
_cell_angle_beta 99.93
_cell_angle_gamma 90.00
loop_
_atom_site_label
_atom_site_fract_x
_atom_site_fract_y
_atom_site_fract_z
_atom_site_occupancy
Zn1 0.000 0.000 0.000 1
Zn2 0.000 0.378 0.000 1
As1 0.186 0.500 0.633 1
H1 0.096 0.180 0.890 1
H2 0.099 0.105 0.624 1
H3 0.166 0.351 0.326 1
H4 0.193 0.306 0.930 1
O1 0.067 0.115 0.793 1
O2 0.109 0.500 0.904 1
O3 0.125 0.390 0.463 1
O4 0.138 0.284 0.049 1
O5 0.165 0.000 0.334 1
```

---

If we sort the structures by their calculated energies, the order from most to least stable is a, b.

---

a:
## HgAsO4 (PBE)

Data for a relaxed HgAsO4 crystal.

CIF file:
```
data_HgAsO4
_chemical_formula_sum 'Hg4 As4 O16'
_symmetry_space_group_name_H-M 'P 1 21/c 1'
_symmetry_Int_Tables_number 14
_symmetry_space_group_name_Hall '-P 2ybc'
_cell_length_a 5.359
_cell_length_b 12.655
_cell_length_c 7.464
_cell_angle_alpha 90.00
_cell_angle_beta 123.41
_cell_angle_gamma 90.00
loop_
_atom_site_label
_atom_site_fract_x
_atom_site_fract_y
_atom_site_fract_z
_atom_site_occupancy
Hg1 0.189 0.010 0.260 1
As1 0.407 0.147 0.980 1
O1 0.071 0.113 0.743 1
O2 0.299 0.593 0.514 1
O3 0.418 0.217 0.504 1
O4 0.459 0.119 0.233 1
```

---

b:
## HgAsO4 (PBE)

Data for a relaxed HgAsO4 crystal.

CIF file:
```
data_HgAsO4
_chemical_formula_sum 'Hg4 As4 O16'
_symmetry_space_group_name_H-M 'P 1 21/c 1'
_symmetry_Int_Tables_number 14
_symmetry_space_group_name_Hall '-P 2ybc'
_cell_length_a 5.629
_cell_length_b 12.058
_cell_length_c 7.022
_cell_angle_alpha 90.00
_cell_angle_beta 120.82
_cell_angle_gamma 90.00
loop_
_atom_site_label
_atom_site_fract_x
_atom_site_fract_y
_atom_site_fract_z
_atom_site_occupancy
Hg1 0.149 0.012 0.259 1
As1 0.406 0.153 0.983 1
O1 0.109 0.110 0.741 1
O2 0.304 0.609 0.511 1
O3 0.377 0.205 0.506 1
O4 0.446 0.110 0.243 1
```

---

If we sort the structures by their calculated energies, the order from most to least stable is b, a.